Material: SbO2
Method: DFT, PBE-GGA
State: relaxed

Unit cell a=5.5519 b=4.9066 c=11.9375 alpha=90.00 beta=90.00 gamma=90.00
Last column: nearest neighbours and their distance in Å.
Atoms (fractional coordinates):
Sb  0.0192  0.0375  0.0000  4 O 2.07-2.27
Sb  0.1330  0.5011  0.7513  6 O 1.98-2.05
Sb  0.3670  0.0011  0.2513  6 O 1.98-2.05
Sb  0.4808  0.5375  0.5000  4 O 2.07-2.27
Sb  0.5192  0.4625  0.0000  4 O 2.07-2.27
Sb  0.6330  0.9989  0.7513  6 O 1.98-2.05
Sb  0.8670  0.4989  0.2513  6 O 1.98-2.05
Sb  0.9808  0.9625  0.5000  4 O 2.07-2.27
O  0.0796  0.7948  0.1918  2 Sb 2.00-2.02
O  0.1437  0.2888  0.3111  2 Sb 1.98-2.01
O  0.1557  0.6663  0.5938  3 Sb 2.05-2.22
O  0.1818  0.3393  0.9059  3 Sb 2.03-2.27
O  0.3182  0.8393  0.4059  3 Sb 2.03-2.27
O  0.3443  0.1663  0.0938  3 Sb 2.05-2.22
O  0.3563  0.7888  0.8111  2 Sb 1.98-2.01
O  0.4204  0.2948  0.6918  2 Sb 2.00-2.02
O  0.5796  0.7052  0.1918  2 Sb 2.00-2.02
O  0.6437  0.2112  0.3111  2 Sb 1.98-2.01
O  0.6557  0.8337  0.5938  3 Sb 2.05-2.22
O  0.6818  0.1607  0.9059  3 Sb 2.03-2.27
O  0.8182  0.6607  0.4059  3 Sb 2.03-2.27
O  0.8443  0.3337  0.0938  3 Sb 2.05-2.22
O  0.8563  0.7112  0.8111  2 Sb 1.98-2.01
O  0.9204  0.2052  0.6918  2 Sb 2.00-2.02

Piezoelectric modulus e_max = 0.7 C/m2
Energy of formation = -1837 meV per atom